one | Density functional theory data (GGA+U) for an optimized crystal structure of CrP3O9.

```
CrP3O9
1.0
8.439 0.000 0.000
0.000 8.562 0.000
0.000 0.000 8.585
Cr P O
4 12 36
direct
0.131 0.144 0.347
0.369 0.856 0.847
0.631 0.356 0.653
0.869 0.644 0.153
0.033 0.678 0.814
0.182 0.516 0.310
0.206 0.190 0.947
0.294 0.810 0.447
0.318 0.484 0.810
0.467 0.322 0.314
0.533 0.822 0.186
0.682 0.984 0.690
0.706 0.310 0.053
0.794 0.690 0.553
0.818 0.016 0.190
0.967 0.178 0.686
0.046 0.221 0.849
0.095 0.126 0.577
0.097 0.376 0.374
0.104 0.601 0.176
0.137 0.811 0.865
0.141 0.531 0.759
0.157 0.154 0.110
0.185 0.916 0.358
0.217 0.637 0.449
0.283 0.363 0.949
0.315 0.084 0.858
0.343 0.846 0.610
0.359 0.469 0.259
0.363 0.189 0.365
0.396 0.399 0.676
0.403 0.624 0.874
0.405 0.874 0.077
0.454 0.779 0.349
0.546 0.279 0.151
0.595 0.374 0.423
0.597 0.124 0.626
0.604 0.899 0.824
0.637 0.689 0.135
0.641 0.969 0.241
0.657 0.346 0.890
0.685 0.584 0.642
0.717 0.863 0.551
0.783 0.137 0.051
0.815 0.416 0.142
0.843 0.654 0.390
0.859 0.031 0.741
0.863 0.311 0.635
0.896 0.101 0.324
0.903 0.876 0.126
0.905 0.626 0.923
0.954 0.721 0.651
```

The crystal system is orthorhombic. As for the piezoelectric modulus e_max: 0.09 C/m2. The size of the total moment comes out at 12.003 μB/cell.

two | Density functional theory data (GGA+U) for an optimized crystal structure of CrP3O9.

```
CrP3O9
1.0
-3.236 -5.287 2.012
-0.965 -4.198 -12.578
8.189 -1.449 -1.192
Cr P O
4 12 36
direct
0.758 0.750 0.998
0.490 0.500 0.498
0.257 0.250 0.998
0.990 0.000 0.498
0.748 0.275 0.673
0.248 0.775 0.673
0.175 0.025 0.173
0.675 0.525 0.173
0.311 0.476 0.820
0.811 0.976 0.820
0.760 0.226 0.320
0.260 0.726 0.320
0.420 0.125 0.739
0.920 0.625 0.739
0.069 0.375 0.239
0.569 0.875 0.239
0.786 0.112 0.334
0.286 0.612 0.334
0.298 0.362 0.834
0.798 0.862 0.834
0.404 0.156 0.899
0.904 0.656 0.899
0.246 0.406 0.399
0.746 0.906 0.399
0.869 0.026 0.676
0.369 0.526 0.676
0.556 0.276 0.176
0.056 0.776 0.176
0.130 0.354 0.091
0.630 0.854 0.091
0.211 0.104 0.591
0.711 0.604 0.591
0.632 0.479 0.328
0.132 0.979 0.328
0.947 0.229 0.828
0.447 0.729 0.828
0.684 0.384 0.665
0.184 0.884 0.665
0.231 0.134 0.165
0.731 0.634 0.165
0.974 0.274 0.301
0.474 0.774 0.301
0.577 0.024 0.801
0.077 0.524 0.801
0.539 0.207 0.653
0.039 0.707 0.653
0.864 0.457 0.153
0.364 0.957 0.153
0.966 0.011 0.001
0.466 0.511 0.001
0.784 0.261 0.501
0.284 0.761 0.501
```

The size of the total moment comes out at 0.000 μB/cell.

three | Density functional theory data (GGA+U) for an optimized crystal structure of CrP3O9.

```
CrP3O9
1.0
6.325 0.000 0.000
0.000 15.490 0.000
-2.324 0.000 8.122
Cr P O
4 12 36
direct
0.118 0.137 0.375
0.118 0.363 0.875
0.882 0.637 0.125
0.882 0.863 0.625
0.151 0.044 0.722
0.151 0.456 0.222
0.208 0.161 0.016
0.208 0.339 0.516
0.412 0.613 0.209
0.412 0.887 0.709
0.588 0.113 0.291
0.588 0.387 0.791
0.792 0.661 0.484
0.792 0.839 0.984
0.849 0.544 0.778
0.849 0.956 0.278
0.052 0.011 0.337
0.052 0.489 0.837
0.068 0.153 0.132
0.068 0.347 0.632
0.164 0.075 0.905
0.164 0.425 0.405
0.174 0.121 0.620
0.174 0.379 0.120
0.184 0.237 0.905
0.184 0.263 0.405
0.199 0.660 0.146
0.199 0.840 0.646
0.370 0.514 0.255
0.370 0.986 0.755
0.436 0.112 0.399
0.436 0.388 0.899
0.465 0.152 0.112
0.465 0.348 0.612
0.535 0.652 0.388
0.535 0.848 0.888
0.564 0.612 0.101
0.564 0.888 0.601
0.630 0.014 0.245
0.630 0.486 0.745
0.801 0.160 0.354
0.801 0.340 0.854
0.816 0.737 0.595
0.816 0.763 0.095
0.826 0.621 0.880
0.826 0.879 0.380
0.836 0.575 0.595
0.836 0.925 0.095
0.932 0.653 0.368
0.932 0.847 0.868
0.948 0.511 0.163
0.948 0.989 0.663
```

The crystal system is monoclinic.

four | Density functional theory data (GGA+U) for an optimized crystal structure of CrP3O9.

```
CrP3O9
1.0
9.366 0.000 0.000
-3.027 8.882 0.000
-3.285 -3.601 8.294
Cr P O
4 12 36
direct
0.199 0.400 0.291
0.274 0.751 0.228
0.726 0.249 0.772
0.801 0.600 0.709
0.063 0.198 0.907
0.111 0.503 0.852
0.165 0.928 0.805
0.297 0.565 0.668
0.345 0.987 0.599
0.403 0.313 0.576
0.597 0.687 0.424
0.655 0.013 0.401
0.703 0.435 0.332
0.835 0.072 0.195
0.889 0.497 0.148
0.937 0.802 0.093
0.012 0.765 0.740
0.076 0.533 0.186
0.086 0.062 0.797
0.124 0.851 0.150
0.128 0.512 0.698
0.137 0.345 0.855
0.172 0.252 0.084
0.199 0.914 0.645
0.224 0.540 0.492
0.241 0.648 0.005
0.304 0.128 0.547
0.312 0.856 0.451
0.318 0.986 0.954
0.332 0.403 0.676
0.358 0.328 0.416
0.405 0.621 0.316
0.437 0.719 0.794
0.480 0.930 0.261
0.520 0.070 0.739
0.563 0.281 0.206
0.595 0.379 0.684
0.642 0.672 0.584
0.668 0.597 0.324
0.682 0.014 0.046
0.688 0.144 0.549
0.696 0.872 0.453
0.759 0.352 0.995
0.776 0.460 0.508
0.801 0.086 0.355
0.828 0.748 0.916
0.863 0.655 0.145
0.872 0.488 0.302
0.876 0.149 0.850
0.914 0.938 0.203
0.924 0.467 0.814
0.988 0.235 0.260
```

The crystal system is triclinic. The size of the total moment comes out at 12.000 μB/cell.

What should be chosen as the least stable of them? Choose four.

one | Density functional theory data (GGA+U) for an optimized crystal structure of Cr3P4O14.

```
Cr3P4O14
1.0
4.800 0.000 0.000
0.302 8.018 0.000
0.057 0.095 12.896
Cr P O
6 8 28
direct
0.000 0.000 0.000
0.215 0.990 0.762
0.266 0.491 0.732
0.500 0.500 0.500
0.734 0.509 0.268
0.785 0.010 0.238
0.006 0.753 0.561
0.258 0.262 0.156
0.267 0.794 0.349
0.472 0.249 0.938
0.528 0.751 0.062
0.733 0.206 0.651
0.742 0.738 0.844
0.994 0.247 0.439
0.014 0.797 0.277
0.026 0.875 0.649
0.091 0.400 0.206
0.092 0.097 0.140
0.156 0.839 0.464
0.184 0.589 0.585
0.230 0.798 0.033
0.289 0.293 0.466
0.309 0.088 0.908
0.312 0.322 0.038
0.396 0.612 0.362
0.441 0.382 0.856
0.460 0.779 0.792
0.482 0.919 0.322
0.518 0.081 0.678
0.540 0.221 0.208
0.559 0.618 0.144
0.604 0.388 0.638
0.688 0.678 0.962
0.691 0.912 0.092
0.711 0.707 0.534
0.770 0.202 0.967
0.816 0.411 0.415
0.844 0.161 0.536
0.908 0.903 0.860
0.909 0.600 0.794
0.974 0.125 0.351
0.986 0.203 0.723
```

The crystal system is triclinic. The size of the total moment comes out at 19.999 μB/cell.

two | Density functional theory data (GGA+U) for an optimized crystal structure of Cr3P4O14.

```
Cr3P4O14
1.0
7.359 0.000 0.000
0.000 8.018 0.000
-3.369 0.000 8.794
Cr P O
6 8 28
direct
0.000 0.000 0.000
0.000 0.500 0.500
0.195 0.132 0.529
0.195 0.368 0.029
0.805 0.632 0.971
0.805 0.868 0.471
0.110 0.708 0.804
0.110 0.792 0.304
0.398 0.038 0.293
0.398 0.462 0.793
0.602 0.538 0.207
0.602 0.962 0.707
0.890 0.208 0.696
0.890 0.292 0.196
0.004 0.206 0.872
0.004 0.294 0.372
0.029 0.579 0.890
0.029 0.921 0.390
0.126 0.621 0.374
0.126 0.879 0.874
0.264 0.098 0.131
0.264 0.402 0.631
0.319 0.647 0.815
0.319 0.853 0.315
0.372 0.153 0.412
0.372 0.347 0.912
0.392 0.507 0.192
0.392 0.993 0.692
0.608 0.007 0.308
0.608 0.493 0.808
0.628 0.653 0.088
0.628 0.847 0.588
0.681 0.147 0.685
0.681 0.353 0.185
0.736 0.598 0.369
0.736 0.902 0.869
0.874 0.121 0.126
0.874 0.379 0.626
0.971 0.079 0.610
0.971 0.421 0.110
0.996 0.706 0.628
0.996 0.794 0.128
```

The crystal system is monoclinic. The size of the total moment comes out at 20.002 μB/cell.

three | Density functional theory data (GGA+U) for an optimized crystal structure of Cr3P4O14.

```
Cr3P4O14
1.0
5.280 0.000 0.000
1.737 6.174 0.000
2.546 1.145 15.984
Cr P O
6 8 28
direct
0.042 0.127 0.322
0.190 0.777 0.093
0.236 0.478 0.817
0.764 0.522 0.183
0.810 0.223 0.907
0.958 0.873 0.678
0.188 0.601 0.296
0.307 0.273 0.048
0.374 0.934 0.816
0.442 0.268 0.425
0.558 0.732 0.575
0.626 0.066 0.184
0.693 0.727 0.952
0.812 0.399 0.704
0.003 0.454 0.288
0.030 0.818 0.326
0.117 0.472 0.090
0.171 0.090 0.053
0.190 0.160 0.838
0.216 0.803 0.780
0.259 0.829 0.591
0.287 0.117 0.400
0.343 0.348 0.510
0.362 0.622 0.209
0.363 0.053 0.232
0.398 0.480 0.355
0.425 0.333 0.959
0.430 0.802 0.905
0.570 0.198 0.095
0.575 0.667 0.041
0.602 0.520 0.645
0.637 0.947 0.768
0.638 0.378 0.791
0.657 0.652 0.490
0.713 0.883 0.600
0.741 0.171 0.409
0.784 0.197 0.220
0.810 0.840 0.162
0.829 0.910 0.947
0.883 0.528 0.910
0.970 0.182 0.674
0.997 0.546 0.712
```

The crystal system is triclinic. The size of the total moment comes out at 21.838 μB/cell.

four | Density functional theory data (GGA+U) for an optimized crystal structure of Cr3P4O14.

```
Cr3P4O14
1.0
5.915 0.000 0.000
1.790 6.813 0.000
2.159 0.685 7.296
Cr P O
3 4 14
direct
0.000 0.000 0.000
0.242 0.472 0.332
0.758 0.528 0.668
0.215 0.698 0.686
0.352 0.325 0.920
0.648 0.675 0.080
0.785 0.302 0.314
0.079 0.896 0.746
0.085 0.616 0.567
0.203 0.547 0.868
0.235 0.178 0.877
0.333 0.319 0.124
0.385 0.688 0.198
0.482 0.678 0.581
0.518 0.322 0.419
0.615 0.312 0.802
0.667 0.681 0.876
0.765 0.822 0.123
0.797 0.453 0.132
0.915 0.384 0.433
0.921 0.104 0.254
```

The crystal system is triclinic. The size of the total moment comes out at 10.000 μB/cell.

What should be chosen as the least stable of them? Choose three.